Record 1
A plane-wave DFT calculation with PBE+U was carried out for a relaxed structure of Ba2Tl2Fe3O10.

Calculated values
- Calculated formation energy: -1.706 eV per atom
- Total magnetic moment: 4.555 Bohr magnetons per cell

Lattice parameters (Å, degrees): 3.6872 3.8883 18.2708 90.09 90.26 90.16
Fractional positions:
Ba (0.0000, 0.0000, 0.0000)
Ba (0.4464, 0.4973, 0.5402)
Tl (0.4639, 0.4894, 0.8355)
Tl (0.9485, 0.9933, 0.7065)
Fe (0.4599, 0.0029, 0.2567)
Fe (0.5206, 0.5017, 0.1365)
Fe (0.9524, 0.9965, 0.4048)
O (0.0161, 0.5013, 0.0909)
O (0.4344, 0.5188, 0.7219)
O (0.4514, 0.9962, 0.4352)
O (0.4574, 0.5023, 0.2390)
O (0.4917, 0.4996, 0.9468)
O (0.5199, 0.0019, 0.1414)
O (0.9366, 0.9985, 0.5956)
O (0.9464, 0.0219, 0.8209)
O (0.9486, 0.4966, 0.4371)
O (0.9594, 0.0019, 0.3001)

---

Record 2
A plane-wave DFT calculation with PBE+U was carried out for a relaxed structure of MgNi4O4F8.

Calculated values
- E above lowest polymorph: 0 meV/atom
- Calculated formation energy: -1.762 eV per atom
- Total magnetic moment: 9.989 Bohr magnetons per cell

Lattice parameters (Å, degrees): 4.0196 7.3304 8.2476 65.39 88.63 89.96
Fractional positions:
Mg (0.0000, 0.0000, 0.0000)
Ni (0.0466, 0.3465, 0.6022)
Ni (0.4712, 0.9695, 0.2995)
Ni (0.5434, 0.9659, 0.7475)
Ni (0.9829, 0.3544, 0.1264)
O (0.1390, 0.6343, 0.5068)
O (0.3900, 0.6774, 0.3861)
O (0.6447, 0.6746, 0.8951)
O (0.8888, 0.6536, 0.0105)
F (0.0092, 0.2932, 0.8936)
F (0.0160, 0.3301, 0.3704)
F (0.0416, 0.0155, 0.7566)
F (0.4887, 0.2725, 0.1535)
F (0.4978, 0.9664, 0.0154)
F (0.5401, 0.2702, 0.6463)
F (0.5685, 0.9392, 0.5318)
F (0.9787, 0.0062, 0.2329)

---

Record 3
A plane-wave DFT calculation with PBE+U was carried out for a relaxed structure of Li4V3P8O29.

Calculated values
- E above lowest polymorph: 10 meV/atom
- Calculated formation energy: -2.573 eV per atom
- Total magnetic moment: 2.000 Bohr magnetons per cell

Lattice parameters (Å, degrees): 9.7697 9.8004 14.1304 89.95 89.72 60.21
Fractional positions:
Li (0.0000, 0.0000, 0.0000)
Li (0.0072, 0.5541, 0.5021)
Li (0.0611, 0.3016, 0.9407)
Li (0.1910, 0.9145, 0.3861)
Li (0.3234, 0.3134, 0.3858)
Li (0.3371, 0.8954, 0.8808)
Li (0.4271, 0.1387, 0.9972)
Li (0.8730, 0.1427, 0.5058)
V (0.1010, 0.7949, 0.1902)
V (0.1061, 0.6580, 0.7002)
V (0.5377, 0.7959, 0.6878)
V (0.5386, 0.2283, 0.1914)
V (0.6667, 0.2334, 0.6951)
V (0.6702, 0.6621, 0.1928)
P (0.0123, 0.0033, 0.7832)
P (0.0130, 0.5489, 0.2829)
P (0.1882, 0.4527, 0.1001)
P (0.1905, 0.9088, 0.6026)
P (0.3304, 0.3178, 0.6022)
P (0.3323, 0.9136, 0.0994)
P (0.4138, 0.1409, 0.7836)
P (0.4154, 0.0007, 0.2831)
P (0.4346, 0.5631, 0.3106)
P (0.4355, 0.5685, 0.8140)
P (0.7633, 0.8986, 0.0719)
P (0.7767, 0.8929, 0.5731)
P (0.7874, 0.4590, 0.5997)
P (0.7946, 0.3157, 0.1049)
P (0.8709, 0.5404, 0.7850)
P (0.8723, 0.1406, 0.2875)
O (0.0024, 0.7101, 0.2627)
O (0.0096, 0.5770, 0.7748)
O (0.0098, 0.8473, 0.7702)
O (0.0197, 0.9748, 0.2805)
O (0.0971, 0.4785, 0.3737)
O (0.0982, 0.0011, 0.8721)
O (0.1013, 0.0226, 0.6920)
O (0.1033, 0.9862, 0.5136)
O (0.1104, 0.4295, 0.0175)
O (0.1097, 0.4323, 0.1976)
O (0.1841, 0.4873, 0.6079)
O (0.1857, 0.8911, 0.1025)
O (0.1865, 0.6092, 0.1100)
O (0.1959, 0.7517, 0.6218)
O (0.2851, 0.5645, 0.7690)
O (0.2857, 0.7133, 0.2708)
O (0.3064, 0.2296, 0.6922)
O (0.3125, 0.0259, 0.1874)
O (0.3254, 0.2134, 0.8734)
O (0.3270, 0.9969, 0.3674)
O (0.3337, 0.2411, 0.5112)
O (0.3357, 0.9934, 0.0091)
O (0.3593, 0.8849, 0.6061)
O (0.3632, 0.3110, 0.1067)
O (0.4173, 0.5842, 0.9187)
O (0.4253, 0.7225, 0.7707)
O (0.4340, 0.5576, 0.4158)
O (0.4358, 0.4115, 0.2673)
O (0.4395, 0.9699, 0.7759)
O (0.4405, 0.1464, 0.2822)
O (0.4830, 0.3248, 0.6217)
O (0.4846, 0.7559, 0.1166)
O (0.5710, 0.1376, 0.7712)
O (0.5747, 0.8478, 0.2662)
O (0.5808, 0.5656, 0.2650)
O (0.5817, 0.4242, 0.7717)
O (0.6087, 0.0469, 0.1162)
O (0.6247, 0.6110, 0.6196)
O (0.6289, 0.8890, 0.6219)
O (0.6355, 0.3139, 0.1156)
O (0.7131, 0.6960, 0.7721)
O (0.7209, 0.1306, 0.2617)
O (0.7445, 0.9092, 0.9670)
O (0.7585, 0.4879, 0.1084)
O (0.7639, 0.3142, 0.6014)
O (0.7665, 0.7513, 0.1188)
O (0.7725, 0.8842, 0.4680)
O (0.7742, 0.0443, 0.6104)
O (0.8440, 0.1437, 0.7784)
O (0.8451, 0.5717, 0.2761)
O (0.8560, 0.2186, 0.3798)
O (0.8678, 0.4731, 0.5145)
O (0.8871, 0.4492, 0.8716)
O (0.8904, 0.2387, 0.2015)
O (0.8924, 0.2259, 0.0219)
O (0.8923, 0.4354, 0.6928)
O (0.9100, 0.9074, 0.1070)
O (0.9240, 0.7433, 0.6147)

---

Record 4
A plane-wave DFT calculation with PBE+U was carried out for a relaxed structure of KMnO2.

Calculated values
- Calculated formation energy: -1.800 eV per atom
- Total magnetic moment: 16.000 Bohr magnetons per cell

Lattice parameters (Å, degrees): 7.0440 7.0440 7.0440 125.90 125.90 80.05
Fractional positions:
K (0.3762, 0.1280, 0.2482)
K (0.8720, 0.1202, 0.2482)
K (0.8720, 0.6238, 0.7518)
K (0.8798, 0.1280, 0.7518)
Mn (0.3686, 0.6187, 0.7499)
Mn (0.3813, 0.1312, 0.7499)
Mn (0.3813, 0.6314, 0.2501)
Mn (0.8688, 0.6187, 0.2501)
O (0.1250, 0.4338, 0.3088)
O (0.1250, 0.8163, 0.6912)
O (0.1837, 0.8750, 0.3088)
O (0.1905, 0.3831, 0.8074)
O (0.5662, 0.8750, 0.6912)
O (0.5758, 0.3831, 0.1926)
O (0.6169, 0.4242, 0.8074)
O (0.6169, 0.8095, 0.1926)

---

Record 5
A plane-wave DFT calculation with PBE+U was carried out for a relaxed structure of MgFe6O6F6.

Calculated values
- E above lowest polymorph: 75 meV/atom
- Calculated formation energy: -2.068 eV per atom
- Total magnetic moment: 28.001 Bohr magnetons per cell

Lattice parameters (Å, degrees): 5.0264 3.0782 14.3481 90.00 91.27 90.00
Fractional positions:
Mg (0.0000, 0.0000, 0.0000)
Fe (0.0000, 0.5000, 0.5000)
Fe (0.0970, 0.5000, 0.1849)
Fe (0.4581, 0.0000, 0.6596)
Fe (0.5000, 0.0000, 0.0000)
Fe (0.5419, 0.0000, 0.3404)
Fe (0.9030, 0.5000, 0.8151)
O (0.1790, 0.0000, 0.5654)
O (0.2499, 0.5000, 0.0518)
O (0.2688, 0.0000, 0.2445)
O (0.7312, 0.0000, 0.7555)
O (0.7501, 0.5000, 0.9482)
O (0.8210, 0.0000, 0.4346)
F (0.1738, 0.0000, 0.8785)
F (0.2616, 0.5000, 0.7250)
F (0.3429, 0.5000, 0.4046)
F (0.6571, 0.5000, 0.5954)
F (0.7384, 0.5000, 0.2750)
F (0.8262, 0.0000, 0.1215)

---

Record 6
A plane-wave DFT calculation with PBE+U was carried out for a relaxed structure of Mn3Cr3Sn2O16.

Calculated values
- Calculated formation energy: -1.889 eV per atom
- Total magnetic moment: 14.999 Bohr magnetons per cell

Lattice parameters (Å, degrees): 5.8499 5.8499 9.5116 90.12 90.12 59.83
Fractional positions:
Mn (0.0000, 0.0000, 0.0000)
Mn (0.1662, 0.6630, 0.5003)
Mn (0.6630, 0.1662, 0.5003)
Cr (0.0011, 0.4971, 0.0008)
Cr (0.4971, 0.0011, 0.0008)
Cr (0.6643, 0.6643, 0.5063)
Sn (0.1595, 0.1595, 0.7230)
Sn (0.4957, 0.4957, 0.2250)
O (0.1507, 0.6686, 0.1077)
O (0.1601, 0.1601, 0.1077)
O (0.3060, 0.3060, 0.8865)
O (0.3111, 0.8649, 0.8838)
O (0.3470, 0.3470, 0.3847)
O (0.3475, 0.7924, 0.3864)
O (0.4920, 0.4920, 0.6069)
O (0.5047, 0.9881, 0.6056)
O (0.6647, 0.6647, 0.1041)
O (0.6686, 0.1507, 0.1077)
O (0.7924, 0.3475, 0.3864)
O (0.8328, 0.8328, 0.4021)
O (0.8329, 0.8329, 0.9029)
O (0.8649, 0.3111, 0.8838)
O (0.9881, 0.5047, 0.6056)
O (0.9879, 0.9879, 0.6096)

---

The highest calculated formation energy belongs to which entry? Ba2Tl2Fe3O10

---

total magnetic moment of number 3 (Li4V3P8O29)? 2.000 Bohr magnetons per cell